A geometry-optimized MgFe6O7F5 structure, computed with PBE with a Hubbard U.

Properties
Its density is 4051 kg/m3. For the total DFT energy (no corrections), the calculation gives -6.023 eV per atom. The calculation puts the polymorph energy (0 for the lowest one) at 0.0425 eV per atom.

The structure in CIF format:
```
data_MgFe6O7F5
_cell_length_a 5.1330
_cell_length_b 8.8718
_cell_length_c 5.2081
_cell_angle_alpha 90.00
_cell_angle_beta 101.81
_cell_angle_gamma 90.00
_symmetry_space_group_name_H-M 'P 1 m 1'
_symmetry_Int_Tables_number 6
loop_
_symmetry_equiv_pos_as_xyz
'x,y,z'
'x,-y,z'
loop_
_atom_site_label
_atom_site_type_symbol
_atom_site_fract_x
_atom_site_fract_y
_atom_site_fract_z
Mg1 Mg 0.0000 0.0000 0.0000
Fe1 Fe 0.0314 0.5000 0.3744
Fe2 Fe 0.4846 0.3230 0.9160
Fe3 Fe 0.5087 0.0000 0.9544
Fe4 Fe 0.8812 0.1917 0.4985
O1 O 0.1776 0.3304 0.6175
O2 O 0.7060 0.1648 0.7901
O3 O 0.7516 0.3422 0.2467
O4 O 0.8022 0.0000 0.2870
F1 F 0.1549 0.0000 0.6787
F2 F 0.2635 0.5000 0.1042
F3 F 0.2775 0.1633 0.1028
F4 F 0.6410 0.5000 0.7733
```

***

A geometry-optimized MgFe6O8F4 structure, computed with PBE with a Hubbard U.

Properties
Its density is 4042 kg/m3. For the total DFT energy (no corrections), the calculation gives -6.084 eV per atom. The calculation puts the polymorph energy (0 for the lowest one) at 0.0000 eV per atom.

The structure in CIF format:
```
data_MgFe6O8F4
_cell_length_a 5.1471
_cell_length_b 5.1564
_cell_length_c 8.8221
_cell_angle_alpha 90.85
_cell_angle_beta 90.51
_cell_angle_gamma 98.61
_symmetry_space_group_name_H-M 'P 1'
_symmetry_Int_Tables_number 1
loop_
_symmetry_equiv_pos_as_xyz
'x,y,z'
loop_
_atom_site_label
_atom_site_type_symbol
_atom_site_fract_x
_atom_site_fract_y
_atom_site_fract_z
Mg1 Mg 0.0000 0.0000 0.0000
Fe1 Fe 0.3675 0.0587 0.4861
Fe2 Fe 0.4985 0.8783 0.8165
Fe3 Fe 0.5031 0.8696 0.1947
Fe4 Fe 0.9157 0.4034 0.6722
Fe5 Fe 0.9342 0.4695 0.3398
Fe6 Fe 0.9555 0.5033 0.9930
O1 O 0.0820 0.2772 0.8474
O2 O 0.0910 0.2680 0.4979
O3 O 0.2546 0.7556 0.3461
O4 O 0.2825 0.7835 0.0014
O5 O 0.5901 0.1449 0.6695
O6 O 0.6123 0.1788 0.3229
O7 O 0.7888 0.6909 0.8400
O8 O 0.8041 0.6894 0.1612
F1 F 0.0994 0.2799 0.1599
F2 F 0.2367 0.7356 0.6656
F3 F 0.6583 0.1448 0.0059
F4 F 0.7675 0.6241 0.5120
```

***

A geometry-optimized MgFe3OF7 structure, computed with PBE with a Hubbard U.

Properties
Its density is 3481 kg/m3. For the total DFT energy (no corrections), the calculation gives -5.483 eV per atom. The calculation puts the polymorph energy (0 for the lowest one) at 0.0000 eV per atom.

The structure in CIF format:
```
data_MgFe3OF7
_cell_length_a 6.2793
_cell_length_b 6.2793
_cell_length_c 14.2854
_cell_angle_alpha 90.00
_cell_angle_beta 90.00
_cell_angle_gamma 120.00
_symmetry_space_group_name_H-M 'R 3 m'
_symmetry_Int_Tables_number 160
_symmetry_space_group_name_Hall 'R 3 -2"'
loop_
_atom_site_label
_atom_site_type_symbol
_atom_site_fract_x
_atom_site_fract_y
_atom_site_fract_z
Mg1 Mg 0.0000 0.0000 0.0000
Fe1 Fe 0.9995 0.4998 0.8676
O1 O 0.0000 0.0000 0.1367
F1 F 0.0000 0.0000 0.6125
F2 F 0.0000 0.5000 0.6167
F3 F 0.0266 0.5133 0.1322
```

***

A geometry-optimized MgFe6O10F2 structure, computed with PBE with a Hubbard U.

Properties
Its density is 4205 kg/m3. For the total DFT energy (no corrections), the calculation gives -6.182 eV per atom. The calculation puts the polymorph energy (0 for the lowest one) at 0.0316 eV per atom.

The structure in CIF format:
```
data_MgFe6O10F2
_cell_length_a 6.3944
_cell_length_b 3.0225
_cell_length_c 11.7702
_cell_angle_alpha 90.00
_cell_angle_beta 104.63
_cell_angle_gamma 90.00
_symmetry_space_group_name_H-M 'P 1 m 1'
_symmetry_Int_Tables_number 6
loop_
_symmetry_equiv_pos_as_xyz
'x,y,z'
'x,-y,z'
loop_
_atom_site_label
_atom_site_type_symbol
_atom_site_fract_x
_atom_site_fract_y
_atom_site_fract_z
Mg1 Mg 0.0000 0.0000 0.0000
Fe1 Fe 0.0063 0.5000 0.5183
Fe2 Fe 0.1361 0.0000 0.8019
Fe3 Fe 0.3770 0.5000 0.2180
Fe4 Fe 0.4945 0.0000 0.4947
Fe5 Fe 0.6273 0.5000 0.8077
Fe6 Fe 0.8756 0.0000 0.2405
O1 O 0.0857 0.5000 0.6935
O2 O 0.1400 0.0000 0.1734
O3 O 0.1619 0.5000 0.9243
O4 O 0.2023 0.0000 0.5162
O5 O 0.4413 0.5000 0.3880
O6 O 0.4472 0.0000 0.8179
O7 O 0.5605 0.0000 0.1904
O8 O 0.8061 0.0000 0.5126
O9 O 0.8266 0.0000 0.8204
O10 O 0.9309 0.5000 0.3367
F1 F 0.5574 0.5000 0.6276
F2 F 0.8007 0.5000 0.0164
```

***

A geometry-optimized MgFe4O4F4 structure, computed with PBE with a Hubbard U.

Properties
Its density is 4074 kg/m3. For the total DFT energy (no corrections), the calculation gives -6.001 eV per atom. The calculation puts the polymorph energy (0 for the lowest one) at 0.0005 eV per atom.

The structure in CIF format:
```
data_MgFe4O4F4
_cell_length_a 3.1340
_cell_length_b 5.2389
_cell_length_c 9.7442
_cell_angle_alpha 81.05
_cell_angle_beta 88.99
_cell_angle_gamma 89.66
_symmetry_space_group_name_H-M 'P 1'
_symmetry_Int_Tables_number 1
loop_
_symmetry_equiv_pos_as_xyz
'x,y,z'
loop_
_atom_site_label
_atom_site_type_symbol
_atom_site_fract_x
_atom_site_fract_y
_atom_site_fract_z
Mg1 Mg 0.0000 0.0000 0.0000
Fe1 Fe 0.0390 0.7271 0.7062
Fe2 Fe 0.0414 0.8634 0.2804
Fe3 Fe 0.5072 0.5133 0.0291
Fe4 Fe 0.5500 0.2777 0.5367
O1 O 0.0160 0.6978 0.8992
O2 O 0.0471 0.0912 0.6239
O3 O 0.5156 0.8049 0.1435
O4 O 0.5440 0.5740 0.6397
F1 F 0.0054 0.2626 0.1327
F2 F 0.0532 0.4762 0.4135
F3 F 0.5047 0.1983 0.9134
F4 F 0.5612 0.0239 0.3909
```

***

A geometry-optimized MgFe4O4F4 structure, computed with PBE with a Hubbard U.

Properties
Its density is 4010 kg/m3. For the total DFT energy (no corrections), the calculation gives -5.969 eV per atom. The calculation puts the polymorph energy (0 for the lowest one) at 0.0324 eV per atom.

The structure in CIF format:
```
data_MgFe4O4F4
_cell_length_a 3.0297
_cell_length_b 5.3815
_cell_length_c 10.0447
_cell_angle_alpha 101.41
_cell_angle_beta 90.44
_cell_angle_gamma 90.44
_symmetry_space_group_name_H-M 'P 1'
_symmetry_Int_Tables_number 1
loop_
_symmetry_equiv_pos_as_xyz
'x,y,z'
loop_
_atom_site_label
_atom_site_type_symbol
_atom_site_fract_x
_atom_site_fract_y
_atom_site_fract_z
Mg1 Mg 0.0000 0.0000 0.0000
Fe1 Fe 0.0038 0.1785 0.2845
Fe2 Fe 0.0126 0.2204 0.7154
Fe3 Fe 0.5011 0.4935 0.0263
Fe4 Fe 0.5107 0.6870 0.5116
O1 O 0.0065 0.4931 0.4027
O2 O 0.0132 0.2971 0.9128
O3 O 0.0152 0.8853 0.5988
O4 O 0.5014 0.1983 0.1516
F1 F 0.4957 0.8045 0.9120
F2 F 0.5042 0.0025 0.3707
F3 F 0.5128 0.4328 0.6417
F4 F 0.9874 0.7483 0.1294
```

***

A geometry-optimized MgFe10O9F11 structure, computed with PBE with a Hubbard U.

Properties
Its density is 4193 kg/m3. For the total DFT energy (no corrections), the calculation gives -5.885 eV per atom. The calculation puts the polymorph energy (0 for the lowest one) at 0.0106 eV per atom.

The structure in CIF format:
```
data_MgFe10O9F11
_cell_length_a 4.8524
_cell_length_b 4.9370
_cell_length_c 15.5537
_cell_angle_alpha 89.59
_cell_angle_beta 89.62
_cell_angle_gamma 84.02
_symmetry_space_group_name_H-M 'P 1'
_symmetry_Int_Tables_number 1
loop_
_symmetry_equiv_pos_as_xyz
'x,y,z'
loop_
_atom_site_label
_atom_site_type_symbol
_atom_site_fract_x
_atom_site_fract_y
_atom_site_fract_z
Mg1 Mg 0.0000 0.0000 0.0000
Fe1 Fe 0.0008 0.5339 0.3977
Fe2 Fe 0.0032 0.5253 0.5969
Fe3 Fe 0.0501 0.5148 0.1986
Fe4 Fe 0.0800 0.4904 0.0066
Fe5 Fe 0.4667 0.9901 0.1110
Fe6 Fe 0.5003 0.0452 0.3124
Fe7 Fe 0.5006 0.0229 0.6943
Fe8 Fe 0.5016 0.0252 0.8846
Fe9 Fe 0.5030 0.0260 0.5019
Fe10 Fe 0.9994 0.5206 0.7943
O1 O 0.1889 0.7458 0.0971
O2 O 0.2993 0.2440 0.7879
O3 O 0.3018 0.2265 0.5967
O4 O 0.3026 0.2357 0.4047
O5 O 0.3410 0.2043 0.2071
O6 O 0.3526 0.1699 0.0003
O7 O 0.6965 0.8057 0.7907
O8 O 0.7024 0.8247 0.5966
O9 O 0.7047 0.8317 0.4013
F1 F 0.1572 0.7400 0.8997
F2 F 0.1864 0.7215 0.6937
F3 F 0.1928 0.7168 0.4985
F4 F 0.2079 0.7308 0.3068
F5 F 0.7009 0.7888 0.2032
F6 F 0.7108 0.7585 0.0042
F7 F 0.8109 0.3311 0.6940
F8 F 0.8127 0.3437 0.4984
F9 F 0.8167 0.3272 0.3056
F10 F 0.8296 0.2447 0.0919
F11 F 0.8568 0.2847 0.9071
```

***

A geometry-optimized MgFe4O4F4 structure, computed with PBE with a Hubbard U.

Properties
Its density is 3852 kg/m3. For the total DFT energy (no corrections), the calculation gives -5.936 eV per atom. The calculation puts the polymorph energy (0 for the lowest one) at 0.0652 eV per atom.

The structure in CIF format:
```
data_MgFe4O4F4
_cell_length_a 5.1527
_cell_length_b 5.4201
_cell_length_c 6.0574
_cell_angle_alpha 89.77
_cell_angle_beta 88.95
_cell_angle_gamma 81.13
_symmetry_space_group_name_H-M 'P 1'
_symmetry_Int_Tables_number 1
loop_
_symmetry_equiv_pos_as_xyz
'x,y,z'
loop_
_atom_site_label
_atom_site_type_symbol
_atom_site_fract_x
_atom_site_fract_y
_atom_site_fract_z
Mg1 Mg 0.0000 0.0000 0.0000
Fe1 Fe 0.4763 0.1268 0.0096
Fe2 Fe 0.5673 0.0242 0.5121
Fe3 Fe 0.9265 0.4798 0.2644
Fe4 Fe 0.9383 0.4796 0.7382
O1 O 0.1479 0.3360 0.0022
O2 O 0.7126 0.1710 0.2432
O3 O 0.7168 0.1743 0.7688
O4 O 0.7741 0.7038 0.5047
F1 F 0.2287 0.2934 0.5002
F2 F 0.2953 0.8965 0.2127
F3 F 0.3056 0.9051 0.7784
F4 F 0.7804 0.7370 0.0019
```